A relaxed structure of HgP2Pd2O8, computed with PBE.

Unit cell a=9.902 b=8.790 c=6.772 alpha=77.84 beta=60.21 gamma=41.96
Element x y z (fractional)
1 O 0.871 0.651 0.353
2 O 0.353 0.125 0.871
3 O 0.897 0.125 0.379
4 O 0.720 0.077 0.778
5 O 0.125 0.897 0.599
6 O 0.530 0.173 0.472
7 O 0.425 0.778 0.077
8 O 0.778 0.425 0.720
9 O 0.825 0.472 0.173
10 O 0.472 0.825 0.530
11 O 0.599 0.379 0.125
12 O 0.173 0.530 0.825
13 O 0.077 0.720 0.425
14 O 0.379 0.599 0.897
15 O 0.651 0.871 0.125
16 O 0.125 0.353 0.651
17 P 0.545 0.545 0.955
18 P 0.705 0.705 0.295
19 P 0.295 0.295 0.705
20 P 0.955 0.955 0.545
21 Pd 0.125 0.625 0.125
22 Pd 0.125 0.125 0.625
23 Pd 0.625 0.125 0.125
24 Pd 0.125 0.125 0.125
25 Hg 0.500 0.500 0.500
26 Hg 0.750 0.750 0.750

magnetic moment = 0.00 μB/atom
final energy = -6.03 eV per atom
space-group type = Fddd (70)
calculated formation energy = -1758 meV/atom
energy with MP2020 corrections = -6.46 eV per atom